a.
The following is a DFT calculation (PBE) of crystalline ZnAg2O4 at its relaxed geometry.

Computed properties:
Size of the total moment (μB/atom): 0.000

```
14
Lattice="-3.2303 3.3812 4.1135 3.2303 -3.3812 4.1135 3.2303 3.3812 -4.1135" Properties=species:S:1:pos:R:3 pbc="T T T"
Zn -1.6152 1.6906 2.0568
Zn 1.6152 1.6906 2.0568
Ag 0.0000 0.0000 0.0000
Ag 3.2303 1.6906 -1.2431
Ag 0.0000 3.3812 0.0000
Ag 0.0000 1.6906 5.3567
O 1.3538 1.6906 -0.0834
O 1.8765 -1.6906 4.0301
O 0.0000 0.3352 2.0571
O 3.2303 0.3352 2.0564
O 0.0000 3.0459 2.0571
O 3.2303 3.0459 2.0564
O 1.3538 5.0717 0.0834
O 1.8765 1.6906 4.1969
```

***

b.
The following is a DFT calculation (PBE) of crystalline ZnAg2O4 at its relaxed geometry.

Computed properties:
Size of the total moment (μB/atom): 0.421

```
14
Lattice="0.0000 4.5052 4.5052 4.5052 0.0000 4.5052 4.5052 4.5052 0.0000" Properties=species:S:1:pos:R:3 pbc="T T T"
Zn 1.1263 1.1263 1.1263
Zn 7.8840 7.8840 7.8840
Ag 4.5052 2.2526 2.2526
Ag 2.2526 4.5052 2.2526
Ag 2.2526 2.2526 4.5052
Ag 4.5052 4.5052 4.5052
O 2.2849 2.2849 2.2849
O 4.4729 4.4729 2.2849
O 4.4729 2.2849 4.4729
O 6.7255 4.5374 4.5374
O 2.2849 4.4729 4.4729
O 4.5374 6.7255 4.5374
O 4.5374 4.5374 6.7255
O 6.7255 6.7255 6.7255
```

***

So which one is most stable? That would be a, about 3.5 kJ/mol of atoms below the next structure.